No. 1
Material: LaCrBiO6
Method: DFT, GGA+U
State: optimized geometry

## Properties
- theoretical density (g/cm3) = 5.63
- E (MP2020) (eV/atom) = -7.527

CIF file:
```
data_LaCrBiO6
_cell_length_a 6.6905
_cell_length_b 5.8538
_cell_length_c 9.3623
_cell_angle_alpha 52.94
_cell_angle_beta 90.00
_cell_angle_gamma 90.00
_symmetry_space_group_name_H-M 'P 1'
_symmetry_Int_Tables_number 1
_symmetry_space_group_name_Hall 'P 1'
loop_
_atom_site_label
_atom_site_type_symbol
_atom_site_fract_x
_atom_site_fract_y
_atom_site_fract_z
_atom_site_occupancy
Cr1 Cr 0.1886 0.0198 0.5153 1
Cr2 Cr 0.8114 0.0198 0.0153 1
O1 O 0.7478 0.6845 0.2093 1
O2 O 0.4047 0.1781 0.5253 1
O3 O 0.9687 0.0595 0.5819 1
O4 O 0.6053 0.7358 0.4762 1
O5 O 0.3947 0.7358 0.9762 1
O6 O 0.0313 0.0595 0.0819 1
O7 O 0.1534 0.4202 0.2807 1
O8 O 0.2522 0.6845 0.7093 1
O9 O 0.1520 0.8890 0.3926 1
O10 O 0.5953 0.1781 0.0253 1
O11 O 0.8466 0.4202 0.7807 1
O12 O 0.8480 0.8890 0.8926 1
Bi1 Bi 0.1149 0.5455 0.0115 1
Bi2 Bi 0.8851 0.5455 0.5115 1
La1 La 0.5954 0.7277 0.7568 1
La2 La 0.4046 0.7277 0.2568 1
```

***

No. 2
Material: Cr3Sb3Te2O16
Method: DFT, GGA+U
State: optimized geometry

## Properties
- theoretical density (g/cm3) = 5.23
- E (MP2020) (eV/atom) = -7.113

CIF file:
```
data_Cr3Sb3Te2O16
_cell_length_a 6.1540
_cell_length_b 6.1540
_cell_length_c 9.9644
_cell_angle_alpha 89.98
_cell_angle_beta 89.98
_cell_angle_gamma 60.39
_symmetry_space_group_name_H-M 'P 1'
_symmetry_Int_Tables_number 1
_symmetry_space_group_name_Hall 'P 1'
loop_
_atom_site_label
_atom_site_type_symbol
_atom_site_fract_x
_atom_site_fract_y
_atom_site_fract_z
_atom_site_occupancy
O1 O 0.9561 0.5223 0.3339 1
O2 O 0.0028 0.0028 0.8169 1
O3 O 0.0427 0.4823 0.8269 1
O4 O 0.8435 0.8435 0.6114 1
O5 O 0.5211 0.5211 0.3313 1
O6 O 0.4886 0.4886 0.8246 1
O7 O 0.0012 0.0012 0.3058 1
O8 O 0.6736 0.1584 0.1090 1
O9 O 0.3093 0.8420 0.6061 1
O10 O 0.8420 0.3093 0.6061 1
O11 O 0.3360 0.3360 0.6071 1
O12 O 0.5223 0.9561 0.3339 1
O13 O 0.6698 0.6698 0.1135 1
O14 O 0.1584 0.6736 0.1090 1
O15 O 0.4823 0.0427 0.8269 1
O16 O 0.1631 0.1631 0.1050 1
Cr1 Cr 0.3368 0.8321 0.2115 1
Cr2 Cr 0.1692 0.1692 0.7109 1
Cr3 Cr 0.8321 0.3368 0.2115 1
Sb1 Sb 0.1696 0.6689 0.7140 1
Sb2 Sb 0.6689 0.1696 0.7140 1
Sb3 Sb 0.8349 0.8349 0.2128 1
Te1 Te 0.3213 0.3213 0.0009 1
Te2 Te 0.6548 0.6548 0.4726 1
```

***

No. 3
Material: Mg14NiSnO16
Method: DFT, GGA+U
State: optimized geometry

## Properties
- theoretical density (g/cm3) = 3.94
- E (MP2020) (eV/atom) = -6.218

CIF file:
```
data_Mg14NiSnO16
_cell_length_a 8.6573
_cell_length_b 8.6573
_cell_length_c 4.3515
_cell_angle_alpha 90.00
_cell_angle_beta 90.00
_cell_angle_gamma 90.00
_symmetry_space_group_name_H-M 'P 1'
_symmetry_Int_Tables_number 1
_symmetry_space_group_name_Hall 'P 1'
loop_
_atom_site_label
_atom_site_type_symbol
_atom_site_fract_x
_atom_site_fract_y
_atom_site_fract_z
_atom_site_occupancy
Mg1 Mg 0.7544 0.0000 0.5000 1
Mg2 Mg 0.0000 0.2456 0.5000 1
Mg3 Mg 0.5000 0.0000 0.0000 1
Mg4 Mg 0.5000 0.2389 0.5000 1
Mg5 Mg 0.0000 0.5000 0.0000 1
Mg6 Mg 0.2456 0.0000 0.5000 1
Mg7 Mg 0.2431 0.2431 0.0000 1
Mg8 Mg 0.7569 0.7569 0.0000 1
Mg9 Mg 0.2431 0.7569 0.0000 1
Mg10 Mg 0.7569 0.2431 0.0000 1
Mg11 Mg 0.5000 0.7611 0.5000 1
Mg12 Mg 0.7611 0.5000 0.5000 1
Mg13 Mg 0.2389 0.5000 0.5000 1
Mg14 Mg 0.0000 0.7544 0.5000 1
O1 O 0.2324 0.5000 0.0000 1
O2 O 0.7481 0.0000 0.0000 1
O3 O 0.2505 0.7495 0.5000 1
O4 O 0.0000 0.5000 0.5000 1
O5 O 0.5000 0.7676 0.0000 1
O6 O 0.0000 0.7481 0.0000 1
O7 O 0.2519 0.0000 0.0000 1
O8 O 0.2505 0.2505 0.5000 1
O9 O 0.5000 0.5000 0.5000 1
O10 O 0.7676 0.5000 0.0000 1
O11 O 0.5000 0.0000 0.5000 1
O12 O 0.0000 0.2519 0.0000 1
O13 O 0.0000 0.0000 0.5000 1
O14 O 0.7495 0.7495 0.5000 1
O15 O 0.5000 0.2324 0.0000 1
O16 O 0.7495 0.2505 0.5000 1
Sn1 Sn 0.5000 0.5000 0.0000 1
Ni1 Ni 0.0000 0.0000 0.0000 1
```